Below is a geometry-optimized Yb5Pt3 structure, with properties calculated at the r2SCAN level.

Output
* uncorrected energy: -43.32 eV/atom
* size of the total moment: 0.00 μB/f.u.
* calculated formation energy: -1184 meV/atom
* calculated volume: 178 Å³/f.u.

abc: 8.2787 8.2787 6.0067
angles: 90.00 90.00 120.00
Space group P6_3/mcm (No. 193)
Inequivalent atoms, fractional coordinates:
Yb1 0.0000 0.2472 0.2500 [6 per cell]
Yb2 0.3333 0.6667 0.0000 [4 per cell]
Pt1 0.0000 0.3946 0.7500 [6 per cell]


Below is a geometry-optimized CeNi2As2 structure, with properties calculated at the r2SCAN level.

Output
* uncorrected energy: -17.75 eV/atom
* size of the total moment: 0.00 μB/f.u.
* calculated formation energy: -905 meV/atom
* calculated volume: 83 Å³/f.u.

abc: 4.220 4.220 9.299
angles: 90.00 90.00 90.00
Space group P4/nmm (No. 129, origin choice 2)
Inequivalent atoms, fractional coordinates:
Ce1 0.250 0.250 0.246 [2 per cell]
Ni1 0.250 0.250 0.616 [2 per cell]
Ni2 0.250 0.750 0.000 [2 per cell]
As1 0.250 0.250 0.871 [2 per cell]
As2 0.250 0.750 0.500 [2 per cell]


Below is a geometry-optimized Hg structure, with properties calculated at the r2SCAN level.

Output
* uncorrected energy: -49.36 eV/atom
* size of the total moment: 0.00 μB/f.u.
* calculated formation energy: 10 meV/atom
* calculated volume: 28 Å³/f.u.
* polymorph energy (0 for the lowest one): 10 meV per atom

abc: 3.4419 3.4419 11.0623
angles: 90.00 90.00 120.00
Space group P6_3/mmc (No. 194)
Inequivalent atoms, fractional coordinates:
Hg1 0.0000 0.0000 0.0000 [2 per cell]
Hg2 0.3333 0.6667 0.2500 [2 per cell]


Below is a geometry-optimized Er4MgRh structure, with properties calculated at the r2SCAN level.

Output
* uncorrected energy: -27.77 eV/atom
* size of the total moment: 0.04 μB/f.u.
* calculated formation energy: -432 meV/atom
* calculated volume: 155 Å³/f.u.

abc: 13.546 13.546 13.546
angles: 90.00 90.00 90.00
Space group F-43m (No. 216)
Inequivalent atoms, fractional coordinates:
Er1 0.000 0.000 0.186 [24 per cell]
Er2 0.063 0.250 0.750 [24 per cell]
Er3 0.096 0.096 0.404 [16 per cell]
Mg1 0.171 0.171 0.171 [16 per cell]
Rh1 0.108 0.108 0.608 [16 per cell]


Below is a geometry-optimized LaNdMg2 structure, with properties calculated at the r2SCAN level.

Output
* uncorrected energy: -16.99 eV/atom
* size of the total moment: 0.00 μB/f.u.
* calculated formation energy: -117 meV/atom
* calculated volume: 122 Å³/f.u.

abc: 7.866 7.866 7.866
angles: 90.00 90.00 90.00
Space group Fm-3m (No. 225)
Inequivalent atoms, fractional coordinates:
La1 0.000 0.000 0.000 [4 per cell]
Nd1 0.000 0.000 0.500 [4 per cell]
Mg1 0.250 0.250 0.250 [8 per cell]


Below is a geometry-optimized TiSCl structure, with properties calculated at the r2SCAN level.

Output
* uncorrected energy: -10.72 eV/atom
* size of the total moment: 0.00 μB/f.u.
* calculated formation energy: -1677 meV/atom
* calculated volume: 62 Å³/f.u.

abc: 3.444 4.821 7.451
angles: 90.00 90.51 90.00
Space group P2_1/m (No. 11)
Inequivalent atoms, fractional coordinates:
Ti1 0.249 0.250 0.394 [2 per cell]
S1 0.247 0.750 0.375 [2 per cell]
Cl1 0.256 0.750 0.840 [2 per cell]


Below is a geometry-optimized LaSb2 structure, with properties calculated at the r2SCAN level.

Output
* uncorrected energy: -28.07 eV/atom
* size of the total moment: 0.00 μB/f.u.
* calculated formation energy: -1022 meV/atom
* calculated volume: 93 Å³/f.u.

abc: 6.368 6.224 18.865
angles: 90.00 90.00 90.00
Space group Cmce (No. 64)
Inequivalent atoms, fractional coordinates:
La1 0.000 0.135 0.111 [8 per cell]
Sb1 0.000 0.129 0.439 [8 per cell]
Sb2 0.250 0.128 0.750 [8 per cell]


Below is a geometry-optimized ErAgPb structure, with properties calculated at the r2SCAN level.

Output
* uncorrected energy: -37.64 eV/atom
* size of the total moment: 0.00 μB/f.u.
* calculated formation energy: -449 meV/atom
* calculated volume: 72 Å³/f.u.

abc: 7.4561 7.4561 4.4957
angles: 90.00 90.00 120.00
Space group P-62m (No. 189)
Inequivalent atoms, fractional coordinates:
Er1 0.0000 0.5730 0.0000 [3 per cell]
Ag1 0.0000 0.2472 0.5000 [3 per cell]
Pb1 0.0000 0.0000 0.0000 [1 per cell]
Pb2 0.3333 0.6667 0.5000 [2 per cell]


Below is a geometry-optimized Cs2UPd3Se6 structure, with properties calculated at the r2SCAN level.

Output
* uncorrected energy: -24.82 eV/atom
* size of the total moment: 2.00 μB/f.u.
* calculated formation energy: -1075 meV/atom
* calculated volume: 360 Å³/f.u.

abc: 10.185 15.974 17.719
angles: 90.00 90.00 90.00
Space group Fmmm (No. 69)
Inequivalent atoms, fractional coordinates:
Cs1 0.000 0.194 0.000 [8 per cell]
Cs2 0.250 0.250 0.250 [8 per cell]
U1 0.000 0.000 0.332 [8 per cell]
Pd1 0.164 0.000 0.160 [16 per cell]
Pd2 0.172 0.000 0.500 [8 per cell]
Se1 0.000 0.105 0.201 [16 per cell]
Se2 0.191 0.107 0.400 [32 per cell]


Below is a geometry-optimized Sc6Si7Ni16 structure, with properties calculated at the r2SCAN level.

Output
* uncorrected energy: -11.84 eV/atom
* size of the total moment: 0.00 μB/f.u.
* calculated formation energy: -756 meV/atom
* calculated volume: 366 Å³/f.u.

abc: 11.351 11.351 11.351
angles: 90.00 90.00 90.00
Space group Fm-3m (No. 225)
Inequivalent atoms, fractional coordinates:
Sc1 0.000 0.000 0.209 [24 per cell]
Si1 0.000 0.000 0.500 [4 per cell]
Si2 0.000 0.250 0.250 [24 per cell]
Ni1 0.119 0.119 0.381 [32 per cell]
Ni2 0.169 0.169 0.169 [32 per cell]


Below is a geometry-optimized Rb2LaI5 structure, with properties calculated at the r2SCAN level.

Output
* uncorrected energy: -24.34 eV/atom
* size of the total moment: 0.00 μB/f.u.
* calculated formation energy: -1786 meV/atom
* calculated volume: 351 Å³/f.u.

abc: 14.821 10.128 9.366
angles: 90.00 90.00 90.00
Space group Pnma (No. 62)
Inequivalent atoms, fractional coordinates:
Rb1 0.173 0.004 0.059 [8 per cell]
La1 0.005 0.250 0.578 [4 per cell]
I1 0.008 0.250 0.928 [4 per cell]
I2 0.075 0.545 0.669 [8 per cell]
I3 0.181 0.250 0.374 [4 per cell]
I4 0.206 0.750 0.341 [4 per cell]


Below is a geometry-optimized CaIr2 structure, with properties calculated at the r2SCAN level.

Output
* uncorrected energy: -37.79 eV/atom
* size of the total moment: 0.00 μB/f.u.
* calculated formation energy: -535 meV/atom
* calculated volume: 54 Å³/f.u.

abc: 7.542 7.542 7.542
angles: 90.00 90.00 90.00
Space group Fd-3m (No. 227, origin choice 2)
Inequivalent atoms, fractional coordinates:
Ca1 0.125 0.125 0.125 [8 per cell]
Ir1 0.000 0.000 0.500 [16 per cell]